Material: Ca4Ni5Te3O18
Method: DFT, PBE+U
State: optimized geometry

Geometry as CIF:
```
data_Ca4Ni5Te3O18
_chemical_formula_sum 'Ca16 Ni20 Te12 O72'
_cell_length_a 15.966
_cell_length_b 8.935
_cell_length_c 10.514
_cell_angle_alpha 90.00
_cell_angle_beta 93.60
_cell_angle_gamma 90.00
_symmetry_space_group_name_H-M 'C 1 2/c 1'
_symmetry_Int_Tables_number 15
loop_
_symmetry_equiv_pos_as_xyz
'x,y,z'
'-x,-y,-z'
'-x,y,-z+1/2'
'x,-y,z+1/2'
'x+1/2,y+1/2,z'
'-x+1/2,-y+1/2,-z'
'-x+1/2,y+1/2,-z+1/2'
'x+1/2,-y+1/2,z+1/2'
loop_
_atom_site_label
_atom_site_type_symbol
_atom_site_fract_x
_atom_site_fract_y
_atom_site_fract_z
_atom_site_occupancy
Ca1 Ca 0.003 0.159 0.082 1
Ca2 Ca 0.181 0.358 0.908 1
Ni1 Ni 0.000 0.329 0.750 1
Ni2 Ni 0.157 0.338 0.268 1
Ni3 Ni 0.171 0.192 0.561 1
Te1 Te 0.000 0.500 0.000 1
Te2 Te 0.171 0.010 0.816 1
O1 O 0.046 0.320 0.932 1
O2 O 0.065 0.481 0.164 1
O3 O 0.094 0.370 0.440 1
O4 O 0.095 0.140 0.241 1
O5 O 0.105 0.003 0.967 1
O6 O 0.110 0.180 0.732 1
O7 O 0.229 0.172 0.386 1
O8 O 0.240 0.028 0.669 1
O9 O 0.243 0.354 0.108 1
```

Values from the calculation:
Total magnetic moment in μB/cell: 40.00
Energy of formation from the pure elements in eV/atom: -1.94

Material: CdFeO3
Method: DFT, PBE+U
State: optimized geometry

Geometry as CIF:
```
data_CdFeO3
_chemical_formula_sum 'Cd4 Fe4 O12'
_cell_length_a 5.379
_cell_length_b 5.506
_cell_length_c 9.348
_cell_angle_alpha 90.00
_cell_angle_beta 124.87
_cell_angle_gamma 90.00
_symmetry_space_group_name_H-M 'P 1 21/c 1'
_symmetry_Int_Tables_number 14
loop_
_symmetry_equiv_pos_as_xyz
'x,y,z'
'-x,-y,-z'
'-x,y+1/2,-z+1/2'
'x,-y+1/2,z+1/2'
loop_
_atom_site_label
_atom_site_type_symbol
_atom_site_fract_x
_atom_site_fract_y
_atom_site_fract_z
_atom_site_occupancy
Cd1 Cd 0.239 0.048 0.251 1
Fe1 Fe 0.000 0.000 0.500 1
Fe2 Fe 0.500 0.000 0.000 1
O1 O 0.136 0.209 0.943 1
O2 O 0.242 0.702 0.947 1
O3 O 0.347 0.040 0.745 1
```

Values from the calculation:
Total magnetic moment in μB/cell: 16.00
Energy of formation from the pure elements in eV/atom: -1.32

Material: Rb2Fe4O7
Method: DFT, PBE+U
State: optimized geometry

Geometry as CIF:
```
data_Rb2Fe4O7
_chemical_formula_sum 'Rb2 Fe4 O7'
_cell_length_a 5.3658
_cell_length_b 5.3658
_cell_length_c 7.0563
_cell_angle_alpha 90.00
_cell_angle_beta 90.00
_cell_angle_gamma 120.00
_symmetry_space_group_name_H-M 'P -3 1 m'
_symmetry_Int_Tables_number 162
_symmetry_space_group_name_Hall '-P 3 2'
loop_
_atom_site_label
_atom_site_type_symbol
_atom_site_fract_x
_atom_site_fract_y
_atom_site_fract_z
_atom_site_occupancy
Rb1 Rb 0.3333 0.6667 0.0000 1
Fe1 Fe 0.0000 0.0000 0.2729 1
Fe2 Fe 0.3333 0.6667 0.5000 1
O1 O 0.0000 0.0000 0.0000 1
O2 O 0.0000 0.3496 0.6605 1
```

Values from the calculation:
Total magnetic moment in μB/cell: 20.00
Energy of formation from the pure elements in eV/atom: -1.65

Material: Mo8O23
Method: DFT, PBE+U
State: optimized geometry

Geometry as CIF:
```
data_Mo8O23
_chemical_formula_sum 'Mo32 O92'
_cell_length_a 13.713
_cell_length_b 8.138
_cell_length_c 17.355
_cell_angle_alpha 90.00
_cell_angle_beta 106.36
_cell_angle_gamma 90.00
_symmetry_space_group_name_H-M 'P 1 2/c 1'
_symmetry_Int_Tables_number 13
loop_
_symmetry_equiv_pos_as_xyz
'x,y,z'
'-x,-y,-z'
'-x,y,-z+1/2'
'x,-y,z+1/2'
loop_
_atom_site_label
_atom_site_type_symbol
_atom_site_fract_x
_atom_site_fract_y
_atom_site_fract_z
_atom_site_occupancy
Mo1 Mo 0.054 0.208 0.097 1
Mo2 Mo 0.055 0.292 0.597 1
Mo3 Mo 0.184 0.209 0.920 1
Mo4 Mo 0.184 0.289 0.419 1
Mo5 Mo 0.315 0.288 0.755 1
Mo6 Mo 0.316 0.214 0.253 1
Mo7 Mo 0.434 0.211 0.583 1
Mo8 Mo 0.436 0.287 0.081 1
O1 O 0.042 0.251 0.848 1
O2 O 0.043 0.240 0.348 1
O3 O 0.053 0.493 0.095 1
O4 O 0.054 0.006 0.590 1
O5 O 0.089 0.254 0.996 1
O6 O 0.089 0.257 0.495 1
O7 O 0.173 0.244 0.173 1
O8 O 0.174 0.255 0.673 1
O9 O 0.179 0.004 0.428 1
O10 O 0.179 0.497 0.917 1
O11 O 0.236 0.230 0.835 1
O12 O 0.237 0.245 0.336 1
O13 O 0.299 0.254 0.002 1
O14 O 0.299 0.255 0.503 1
O15 O 0.302 0.499 0.260 1
O16 O 0.310 0.001 0.748 1
O17 O 0.368 0.263 0.170 1
O18 O 0.369 0.270 0.671 1
O19 O 0.426 0.002 0.090 1
O20 O 0.433 0.250 0.835 1
O21 O 0.434 0.244 0.334 1
O22 O 0.440 0.498 0.580 1
O23 O 0.499 0.233 0.500 1
```

Values from the calculation:
Total magnetic moment in μB/cell: 0.01
Distance to the lowest polymorph of the same formula in eV per atom: 0.000
Energy of formation from the pure elements in eV/atom: -1.94

Material: Li4CrSbTe2O12
Method: DFT, PBE+U
State: optimized geometry

Geometry as CIF:
```
data_Li4CrSbTe2O12
_chemical_formula_sum 'Li4 Cr1 Sb1 Te2 O12'
_cell_length_a 5.165
_cell_length_b 5.411
_cell_length_c 7.482
_cell_angle_alpha 93.63
_cell_angle_beta 90.01
_cell_angle_gamma 90.04
_symmetry_space_group_name_H-M 'P 1'
_symmetry_Int_Tables_number 1
loop_
_symmetry_equiv_pos_as_xyz
'x,y,z'
loop_
_atom_site_label
_atom_site_type_symbol
_atom_site_fract_x
_atom_site_fract_y
_atom_site_fract_z
_atom_site_occupancy
Li1 Li 0.000 0.000 0.000 1
Li2 Li 0.006 0.992 0.540 1
Li3 Li 0.500 0.475 0.002 1
Li4 Li 0.508 0.446 0.554 1
Cr1 Cr 0.003 0.423 0.804 1
Sb1 Sb 0.504 0.916 0.302 1
Te1 Te 0.004 0.419 0.304 1
Te2 Te 0.504 0.916 0.804 1
O1 O 0.131 0.401 0.065 1
O2 O 0.190 0.723 0.383 1
O3 O 0.193 0.092 0.755 1
O4 O 0.310 0.224 0.383 1
O5 O 0.330 0.602 0.757 1
O6 O 0.367 0.902 0.056 1
O7 O 0.637 0.897 0.554 1
O8 O 0.682 0.587 0.241 1
O9 O 0.694 0.212 0.870 1
O10 O 0.799 0.727 0.876 1
O11 O 0.832 0.093 0.242 1
O12 O 0.881 0.390 0.545 1
```

Values from the calculation:
Total magnetic moment in μB/cell: 3.02
Energy of formation from the pure elements in eV/atom: -1.96

Material: Li3V2Fe3O10
Method: DFT, PBE+U
State: optimized geometry

Geometry as CIF:
```
data_Li3V2Fe3O10
_chemical_formula_sum 'Li3 V2 Fe3 O10'
_cell_length_a 5.143
_cell_length_b 5.182
_cell_length_c 7.868
_cell_angle_alpha 73.71
_cell_angle_beta 73.29
_cell_angle_gamma 77.57
_symmetry_space_group_name_H-M 'P -1'
_symmetry_Int_Tables_number 2
loop_
_symmetry_equiv_pos_as_xyz
'x,y,z'
'-x,-y,-z'
loop_
_atom_site_label
_atom_site_type_symbol
_atom_site_fract_x
_atom_site_fract_y
_atom_site_fract_z
_atom_site_occupancy
Li1 Li 0.000 0.000 0.000 1
Li2 Li 0.482 0.704 0.106 1
V1 V 0.019 0.382 0.188 1
Fe1 Fe 0.034 0.191 0.598 1
Fe2 Fe 0.500 0.500 0.500 1
O1 O 0.195 0.044 0.171 1
O2 O 0.212 0.611 0.977 1
O3 O 0.214 0.823 0.560 1
O4 O 0.232 0.458 0.358 1
O5 O 0.251 0.302 0.731 1
```

Values from the calculation:
Total magnetic moment in μB/cell: 17.00
Energy of formation from the pure elements in eV/atom: -2.10

Material: SrEuNiBiO6
Method: DFT, PBE+U
State: optimized geometry

Geometry as CIF:
```
data_SrEuNiBiO6
_chemical_formula_sum 'Sr4 Eu4 Ni4 Bi4 O24'
_cell_length_a 8.141
_cell_length_b 8.141
_cell_length_c 8.141
_cell_angle_alpha 90.00
_cell_angle_beta 90.00
_cell_angle_gamma 90.00
_symmetry_space_group_name_H-M 'F -4 3 m'
_symmetry_Int_Tables_number 216
_symmetry_space_group_name_Hall 'F -4 2 3'
loop_
_atom_site_label
_atom_site_type_symbol
_atom_site_fract_x
_atom_site_fract_y
_atom_site_fract_z
_atom_site_occupancy
Sr1 Sr 0.000 0.000 0.000 1
Eu1 Eu 0.000 0.000 0.500 1
Ni1 Ni 0.250 0.250 0.750 1
Bi1 Bi 0.250 0.250 0.250 1
O1 O 0.006 0.250 0.750 1
```

Values from the calculation:
Total magnetic moment in μB/cell: 32.00
Energy of formation from the pure elements in eV/atom: -2.01

Material: V4O5F7
Method: DFT, PBE+U
State: optimized geometry

Geometry as CIF:
```
data_V4O5F7
_chemical_formula_sum 'V8 O10 F14'
_cell_length_a 9.259
_cell_length_b 5.316
_cell_length_c 8.904
_cell_angle_alpha 90.00
_cell_angle_beta 106.97
_cell_angle_gamma 90.00
_symmetry_space_group_name_H-M 'C 1 2 1'
_symmetry_Int_Tables_number 5
loop_
_symmetry_equiv_pos_as_xyz
'x,y,z'
'-x,y,-z'
'x+1/2,y+1/2,z'
'-x+1/2,y+1/2,-z'
loop_
_atom_site_label
_atom_site_type_symbol
_atom_site_fract_x
_atom_site_fract_y
_atom_site_fract_z
_atom_site_occupancy
V1 V 0.118 0.000 0.375 1
V2 V 0.124 0.551 0.862 1
O1 O 0.000 0.941 0.500 1
O2 O 0.003 0.791 0.797 1
O3 O 0.245 0.582 0.753 1
F1 F 0.000 0.420 0.000 1
F2 F 0.001 0.308 0.716 1
F3 F 0.249 0.703 0.043 1
F4 F 0.249 0.709 0.455 1
```

Values from the calculation:
Total magnetic moment in μB/cell: 6.00
Distance to the lowest polymorph of the same formula in eV per atom: 0.035
Energy of formation from the pure elements in eV/atom: -2.73

Material: Al2NiO4
Method: DFT, PBE+U
State: optimized geometry

Geometry as CIF:
```
data_Al2NiO4
_chemical_formula_sum 'Al32 Ni16 O64'
_cell_length_a 9.956
_cell_length_b 5.774
_cell_length_c 18.913
_cell_angle_alpha 90.00
_cell_angle_beta 99.78
_cell_angle_gamma 90.00
_symmetry_space_group_name_H-M 'C 1 m 1'
_symmetry_Int_Tables_number 8
loop_
_symmetry_equiv_pos_as_xyz
'x,y,z'
'x,-y,z'
'x+1/2,y+1/2,z'
'x+1/2,-y+1/2,z'
loop_
_atom_site_label
_atom_site_type_symbol
_atom_site_fract_x
_atom_site_fract_y
_atom_site_fract_z
_atom_site_occupancy
Al1 Al 0.000 0.000 0.000 1
Al2 Al 0.000 0.500 0.497 1
Al3 Al 0.025 0.250 0.842 1
Al4 Al 0.028 0.248 0.341 1
Al5 Al 0.049 0.500 0.685 1
Al6 Al 0.051 0.000 0.182 1
Al7 Al 0.150 0.000 0.464 1
Al8 Al 0.249 0.000 0.750 1
Al9 Al 0.251 0.500 0.250 1
Al10 Al 0.275 0.250 0.092 1
Al11 Al 0.275 0.252 0.592 1
Al12 Al 0.300 0.000 0.933 1
Ni1 Ni 0.024 0.000 0.592 1
Ni2 Ni 0.025 0.500 0.091 1
Ni3 Ni 0.150 0.500 0.967 1
Ni4 Ni 0.275 0.500 0.842 1
Ni5 Ni 0.276 0.000 0.341 1
Ni6 Ni 0.305 0.500 0.435 1
Ni7 Ni 0.399 0.500 0.716 1
Ni8 Ni 0.401 0.000 0.217 1
O1 O 0.080 0.500 0.783 1
O2 O 0.082 0.000 0.279 1
O3 O 0.087 0.000 0.783 1
O4 O 0.090 0.500 0.285 1
O5 O 0.099 0.240 0.528 1
O6 O 0.100 0.248 0.033 1
O7 O 0.196 0.230 0.403 1
O8 O 0.201 0.248 0.900 1
O9 O 0.208 0.500 0.650 1
O10 O 0.214 0.000 0.149 1
O11 O 0.219 0.000 0.651 1
O12 O 0.220 0.500 0.151 1
O13 O 0.329 0.500 0.541 1
O14 O 0.330 0.000 0.529 1
O15 O 0.331 0.000 0.032 1
O16 O 0.337 0.500 0.034 1
O17 O 0.349 0.248 0.783 1
O18 O 0.351 0.253 0.283 1
O19 O 0.450 0.245 0.651 1
O20 O 0.451 0.251 0.149 1
O21 O 0.463 0.000 0.899 1
O22 O 0.470 0.500 0.901 1
O23 O 0.471 0.000 0.400 1
O24 O 0.482 0.500 0.399 1
```

Values from the calculation:
Total magnetic moment in μB/cell: 32.00
Distance to the lowest polymorph of the same formula in eV per atom: 0.005
Energy of formation from the pure elements in eV/atom: -2.80

| no. | DFT total energy (Ry/atom) |
| --- | --- |
| 1 | -0.4132 |
| 2 | -0.3895 |
| 3 | -0.4413 |
| 4 | -0.5196 |
| 5 | -0.4265 |
| 6 | -0.4881 |
| 7 | -0.4759 |
| 8 | -0.4807 |
| 9 | -0.4973 |